DFT (PBE) results for a relaxed structure of FeSi.

Calculated values
Piezoelectric modulus e_max: 1.08 C/m2

a = 4.448 Å, b = 4.448 Å, c = 4.448 Å
α = 90.00°, β = 90.00°, γ = 90.00°
Fractional positions:
Fe 0.636 0.364 0.864
Si 0.341 0.659 0.159
Si 0.659 0.159 0.341
Fe 0.136 0.136 0.136
Si 0.841 0.841 0.841
Fe 0.864 0.636 0.364
Si 0.159 0.341 0.659
Fe 0.364 0.864 0.636

=====

DFT (PBE) results for a relaxed structure of FeSi2.

a = 6.284 Å, b = 6.284 Å, c = 7.818 Å
α = 90.00°, β = 90.00°, γ = 103.59°
Fractional positions:
Si 0.146 0.402 0.050
Si 0.098 0.354 0.550
Si 0.598 0.854 0.950
Si 0.402 0.146 0.050
Fe 0.307 0.307 0.312
Si 0.854 0.598 0.950
Si 0.418 0.671 0.227
Fe 0.283 0.717 0.500
Si 0.082 0.829 0.727
Fe 0.217 0.783 0.000
Fe 0.783 0.217 0.000
Si 0.902 0.646 0.450
Fe 0.193 0.193 0.812
Si 0.171 0.918 0.273
Si 0.354 0.098 0.550
Si 0.646 0.902 0.450
Fe 0.807 0.807 0.188
Si 0.329 0.582 0.773
Si 0.671 0.418 0.227
Fe 0.717 0.283 0.500
Si 0.582 0.329 0.773
Si 0.829 0.082 0.727
Fe 0.693 0.693 0.688
Si 0.918 0.171 0.273

=====

DFT (PBE) results for a relaxed structure of Fe2Si.

a = 2.797 Å, b = 2.797 Å, c = 8.332 Å
α = 90.00°, β = 90.00°, γ = 90.00°
Fractional positions:
Fe 0.000 0.000 0.174
Fe 0.000 0.000 0.826
Fe 0.000 0.000 0.500
Si 0.500 0.500 0.332
Si 0.500 0.500 0.668
Fe 0.500 0.500 0.000

=====

DFT (PBE) results for a relaxed structure of Fe2Si.

a = 4.843 Å, b = 4.843 Å, c = 4.843 Å
α = 147.69°, β = 147.69°, γ = 46.34°
Fractional positions:
Fe 0.660 0.660 0.000
Fe 0.340 0.340 0.000
Si 0.000 0.000 0.000

=====

DFT (PBE) results for a relaxed structure of Fe2Si.

a = 3.929 Å, b = 3.929 Å, c = 4.840 Å
α = 90.00°, β = 90.00°, γ = 120.00°
Fractional positions:
Fe 0.000 0.000 0.500
Si 0.333 0.667 0.181
Si 0.667 0.333 0.819
Fe 0.667 0.333 0.321
Fe 0.000 0.000 0.000
Fe 0.333 0.667 0.679

=====

DFT (PBE) results for a relaxed structure of Fe11Si5.

a = 5.570 Å, b = 5.570 Å, c = 5.570 Å
α = 90.00°, β = 90.00°, γ = 90.00°
Fractional positions:
Fe 0.000 0.000 0.500
Fe 0.253 0.253 0.747
Si 0.000 0.000 0.000
Fe 0.000 0.500 0.000
Fe 0.747 0.747 0.253
Si 0.500 0.500 0.000
Si 0.000 0.500 0.500
Fe 0.747 0.747 0.747
Fe 0.747 0.253 0.747
Fe 0.253 0.747 0.747
Fe 0.253 0.747 0.253
Si 0.500 0.000 0.500
Fe 0.747 0.253 0.253
Fe 0.253 0.253 0.253
Fe 0.500 0.000 0.000
Si 0.500 0.500 0.500

=====

The following E (MP2020) values (in eV per atom) correspond, in order, to the records above: -7.424 -6.836 -7.748 -7.691 -7.812 -7.846.
The following formation energy values (in meV per atom) correspond, in order, to the records above: -476.0 -395.6 -292.7 -235.4 -356.6 -327.9.